Record 1
An optimized crystal structure of Li6TiFe3P6O24. Source: Materials Project, functional PBE with a Hubbard U.

Calculated values
energy of formation from the pure elements: -250.0 kJ/mol of atoms
total moment: 14.0 Bohr magnetons per cell
calculated density: 2.93 g/cm3
E (MP2020): -299.6 eV/cell
symmetry: P1, No. 1

abc: 8.5773 8.6349 8.6404
angles: 61.62 61.75 61.60
Fractional coordinates of all 40 atoms:
Li (0.0000, 0.0000, 0.0000)
Li (0.0925, 0.5117, 0.8651)
Li (0.2666, 0.8600, 0.6454)
Li (0.4648, 0.7045, 0.3056)
Li (0.7196, 0.3572, 0.1451)
Li (0.9014, 0.0750, 0.4993)
Ti (0.8956, 0.5064, 0.3038)
Fe (0.0984, 0.7082, 0.5030)
Fe (0.3927, 0.0032, 0.7890)
Fe (0.6004, 0.2181, 0.0059)
P (0.1988, 0.1124, 0.1891)
P (0.3012, 0.6113, 0.1037)
P (0.5028, 0.3982, 0.6079)
P (0.6967, 0.9133, 0.4059)
P (0.7905, 0.8174, 0.9104)
P (0.9988, 0.3093, 0.7063)
O (0.0091, 0.2762, 0.2241)
O (0.0600, 0.4590, 0.6843)
O (0.1295, 0.5464, 0.1689)
O (0.1541, 0.1164, 0.7142)
O (0.1851, 0.9536, 0.3782)
O (0.2084, 0.0668, 0.0311)
O (0.2813, 0.7806, 0.9247)
O (0.2846, 0.6672, 0.2555)
O (0.3421, 0.5870, 0.5918)
O (0.3677, 0.1655, 0.1358)
O (0.4528, 0.2354, 0.6367)
O (0.4877, 0.4536, 0.0716)
O (0.5071, 0.9174, 0.5622)
O (0.5684, 0.3550, 0.7640)
O (0.6156, 0.8585, 0.8703)
O (0.6616, 0.4290, 0.4134)
O (0.6884, 0.0927, 0.2356)
O (0.7572, 0.7398, 0.3471)
O (0.7718, 0.9721, 0.9655)
O (0.8145, 0.6244, 0.0716)
O (0.8425, 0.2796, 0.8970)
O (0.8469, 0.8910, 0.4696)
O (0.9356, 0.3657, 0.5382)
O (0.9759, 0.7919, 0.7483)

---

Record 2
An optimized crystal structure of Li2VFeP4O14. Source: Materials Project, functional PBE with a Hubbard U.

Calculated values
energy of formation from the pure elements: -253.6 kJ/mol of atoms
total moment: 14.0 Bohr magnetons per cell
calculated density: 2.90 g/cm3
E (MP2020): -340.2 eV/cell
symmetry: P2_1, No. 4

abc: 7.1531 8.2564 9.7668
angles: 90.00 111.37 90.00
Fractional coordinates of all 44 atoms:
Li (0.1751, 0.0000, 0.4994)
Li (0.1763, 0.9998, 0.0000)
Li (0.8237, 0.4998, 0.0000)
Li (0.8249, 0.5000, 0.5006)
V (0.2283, 0.3624, 0.0061)
V (0.7717, 0.8624, 0.9939)
Fe (0.2327, 0.3636, 0.5080)
Fe (0.7673, 0.8636, 0.4920)
P (0.0216, 0.6822, 0.8104)
P (0.0227, 0.6826, 0.3114)
P (0.4133, 0.5792, 0.8132)
P (0.4147, 0.5788, 0.3136)
P (0.5853, 0.0788, 0.6864)
P (0.5867, 0.0792, 0.1868)
P (0.9773, 0.1826, 0.6886)
P (0.9784, 0.1822, 0.1896)
O (0.0064, 0.5191, 0.8801)
O (0.0078, 0.5175, 0.3795)
O (0.0174, 0.3250, 0.6024)
O (0.0180, 0.3243, 0.1023)
O (0.1048, 0.1846, 0.8537)
O (0.1061, 0.1844, 0.3540)
O (0.2534, 0.7090, 0.3284)
O (0.2530, 0.7101, 0.8294)
O (0.3530, 0.5374, 0.6511)
O (0.3527, 0.5394, 0.1513)
O (0.3841, 0.1688, 0.6267)
O (0.3858, 0.1667, 0.1262)
O (0.4166, 0.4295, 0.4078)
O (0.4169, 0.4296, 0.9072)
O (0.5831, 0.9296, 0.0928)
O (0.5834, 0.9295, 0.5922)
O (0.6142, 0.6667, 0.8738)
O (0.6159, 0.6688, 0.3733)
O (0.6470, 0.0374, 0.3489)
O (0.6473, 0.0394, 0.8487)
O (0.7466, 0.2090, 0.6716)
O (0.7470, 0.2101, 0.1706)
O (0.8939, 0.6844, 0.6460)
O (0.8952, 0.6846, 0.1463)
O (0.9820, 0.8243, 0.8977)
O (0.9826, 0.8250, 0.3976)
O (0.9922, 0.0175, 0.6205)
O (0.9936, 0.0191, 0.1199)

---

Record 3
An optimized crystal structure of LiVFeP4O14. Source: Materials Project, functional PBE with a Hubbard U.

Calculated values
energy of formation from the pure elements: -247.6 kJ/mol of atoms
total moment: 12.0 Bohr magnetons per cell
calculated density: 2.92 g/cm3
E (MP2020): -328.5 eV/cell
symmetry: P1, No. 1
energy above the lowest structure with this stoichiometry: 0.06 kcal/mol of atoms

abc: 7.1726 8.0888 9.7263
angles: 89.96 68.63 89.92
Fractional coordinates of all 42 atoms:
Li (0.0000, 0.0000, 0.0000)
Li (0.1540, 0.5030, 0.5019)
V (0.1119, 0.1339, 0.4952)
V (0.6056, 0.1460, 0.9958)
Fe (0.0443, 0.6330, 0.0091)
Fe (0.5538, 0.6486, 0.5095)
P (0.0401, 0.3207, 0.8118)
P (0.1129, 0.8197, 0.6921)
P (0.2322, 0.9226, 0.1850)
P (0.4274, 0.4206, 0.8162)
P (0.5345, 0.3166, 0.3143)
P (0.6179, 0.8162, 0.1908)
P (0.7273, 0.9243, 0.6877)
P (0.9241, 0.4180, 0.3170)
O (0.0332, 0.4571, 0.1552)
O (0.0614, 0.3242, 0.3813)
O (0.0762, 0.3124, 0.6448)
O (0.0840, 0.8228, 0.8549)
O (0.0857, 0.8389, 0.1272)
O (0.1289, 0.9708, 0.3489)
O (0.1851, 0.9907, 0.6232)
O (0.2421, 0.6793, 0.6015)
O (0.2510, 0.2849, 0.8287)
O (0.3254, 0.0768, 0.0918)
O (0.3301, 0.5690, 0.9120)
O (0.3984, 0.1762, 0.3993)
O (0.4013, 0.7890, 0.1739)
O (0.4556, 0.4861, 0.3788)
O (0.5318, 0.4648, 0.6542)
O (0.5656, 0.3199, 0.8736)
O (0.5745, 0.3045, 0.1474)
O (0.5809, 0.8174, 0.3545)
O (0.5822, 0.8326, 0.6359)
O (0.6294, 0.9786, 0.8502)
O (0.6934, 0.9866, 0.1170)
O (0.7467, 0.2865, 0.3312)
O (0.7517, 0.6790, 0.1025)
O (0.8315, 0.0747, 0.5934)
O (0.8371, 0.5709, 0.4116)
O (0.8975, 0.7886, 0.6782)
O (0.9070, 0.1788, 0.9009)
O (0.9661, 0.4906, 0.8719)

---

no.,energy (eV per formula unit)
1,-276.37
2,-156.55
3,-150.70